Entry 1:
AlP3C3NO9: relaxed, PBE.

extended XYZ file:
```
68
Lattice="9.185 0.000 0.000 0.000 8.836 0.000 0.000 7.589 12.811" Properties=species:S:1:pos:R:3 pbc="T T T"
P 3.082 4.245 3.155
O 4.130 9.827 2.133
P 1.913 13.329 11.628
P 7.635 11.716 5.324
O 5.071 6.628 8.019
C 2.334 6.880 0.198
P 7.675 8.386 3.251
O 6.273 2.603 2.218
C 6.851 9.545 12.613
N 1.719 10.448 7.902
O 6.998 4.437 0.578
P 6.143 15.511 11.730
O 0.478 13.593 11.197
P 6.103 12.180 9.656
O 2.406 8.194 5.827
O 4.952 13.046 9.294
O 5.745 7.576 0.325
O 8.825 9.251 2.888
P 6.506 6.892 7.589
O 8.722 2.804 4.273
O 1.208 9.631 10.122
N 2.873 6.653 1.496
O 3.385 5.836 3.716
C 5.979 10.667 10.475
N 6.312 9.772 11.315
C 6.926 5.751 6.208
O 8.033 11.371 6.730
O 1.732 1.520 1.561
C 7.799 6.872 4.070
O 2.187 11.989 12.233
O 3.440 8.850 12.486
O 1.152 5.055 6.081
C 7.280 4.669 5.496
O 6.275 8.900 3.206
P 1.510 8.040 9.560
C 6.497 8.463 11.902
O 0.463 13.622 8.538
O 4.114 9.798 4.792
O 1.680 10.028 4.187
O 7.503 12.695 9.612
N 7.466 5.978 4.909
C 2.259 10.675 6.604
P 3.042 0.915 1.081
O 6.779 8.231 6.984
O 8.707 2.833 1.614
O 7.977 6.795 2.690
Al 5.222 10.519 3.457
O 0.360 7.175 9.923
P 7.272 3.097 1.183
O 4.233 3.380 3.517
P 2.679 9.534 5.222
O 7.505 6.397 8.624
O 7.453 14.905 11.250
O 6.325 11.111 4.845
O 5.055 6.598 10.679
Al 3.963 5.906 9.354
O 1.682 3.731 3.200
O 2.910 7.525 9.605
C 3.206 5.759 2.336
P 1.550 4.710 7.487
C 1.905 11.757 7.315
C 2.688 7.962 0.910
C 1.386 9.554 8.741
Al 8.556 14.314 9.863
O 2.913 13.823 10.593
Al 0.630 2.112 2.949
O 2.861 5.315 7.966
O 5.800 10.589 9.095
```

Output
- ρ: 2.01 g/cm³
- Energy relative to the elements: -25.9 eV/f.u.

Entry 2:
CeTe2: relaxed, PBE.

extended XYZ file:
```
6
Lattice="4.506 0.000 0.000 0.000 4.506 0.000 0.000 0.000 9.061" Properties=species:S:1:pos:R:3 pbc="T T T"
Te 0.000 2.253 5.701
Ce 2.253 0.000 6.617
Te 2.253 0.000 3.360
Te 0.000 0.000 0.000
Te 2.253 2.253 0.000
Ce 0.000 2.253 2.444
```

Output
- ρ: 7.13 g/cm³
- Energy relative to the elements: -4.5 eV/f.u.

Entry 3:
SnS: relaxed, PBE.

extended XYZ file:
```
8
Lattice="4.024 0.000 0.000 0.000 4.443 0.000 0.000 0.000 11.433" Properties=species:S:1:pos:R:3 pbc="T T T"
Sn 3.018 3.883 10.047
S 1.006 2.133 9.716
Sn 3.018 2.781 4.330
Sn 1.006 0.560 1.386
S 3.018 4.354 7.433
S 1.006 0.088 3.999
Sn 1.006 1.661 7.102
S 3.018 2.310 1.717
```

Output
- ρ: 4.90 g/cm³
- Energy relative to the elements: -1.4 eV/f.u.

Entry 4:
ZrCrCuS4: relaxed, PBE.

extended XYZ file:
```
28
Lattice="6.942 0.000 0.000 0.000 7.196 0.000 0.000 0.000 12.411" Properties=species:S:1:pos:R:3 pbc="T T T"
S 2.546 1.799 1.339
Cu 2.244 5.397 10.913
Cu 4.698 1.799 1.497
S 6.017 1.799 4.866
Zr 6.428 5.397 12.120
Cr 0.027 5.397 2.848
Zr 0.514 1.799 0.291
Cu 5.715 5.397 7.703
Cu 1.227 1.799 4.708
Zr 2.957 5.397 6.496
Zr 3.984 1.799 5.914
S 0.925 5.397 7.544
S 1.993 5.397 1.676
S 1.478 1.799 7.881
S 4.395 5.397 11.072
S 2.596 3.612 4.616
S 0.875 3.585 10.822
S 6.066 7.183 1.589
S 5.464 5.397 4.530
S 4.948 1.799 10.735
S 6.066 3.612 1.589
S 2.596 7.183 4.616
S 4.346 3.585 7.794
Cr 6.915 1.799 9.562
Cr 3.444 1.799 9.054
S 4.346 0.013 7.794
S 0.875 0.013 10.822
Cr 3.498 5.397 3.357
```

Output
- ρ: 3.59 g/cm³
- Energy relative to the elements: -6.4 eV/f.u.
- Distance to the lowest polymorph of the same formula: 348 meV per atom

Entry 5:
CuAs4S3Cl: relaxed, PBE.

extended XYZ file:
```
36
Lattice="7.514 0.000 0.000 0.000 11.192 0.000 0.000 0.000 11.255" Properties=species:S:1:pos:R:3 pbc="T T T"
As 5.636 2.815 8.017
As 0.625 4.051 10.660
S 5.636 10.488 1.578
S 7.380 2.347 4.788
Cl 5.636 6.274 8.207
As 5.636 0.852 4.953
As 1.879 8.377 3.238
S 7.380 8.845 10.416
S 5.636 0.704 7.205
S 3.623 2.347 0.839
As 1.879 10.340 6.301
S 3.623 8.845 6.467
As 6.889 7.141 0.595
As 1.879 2.815 8.865
As 3.132 4.051 10.660
S 0.134 2.347 0.839
S 0.134 8.845 6.467
Cl 1.879 4.918 3.047
S 1.879 10.488 4.050
As 1.879 0.852 0.674
As 5.636 8.377 2.390
Cl 5.636 4.918 2.580
Cu 0.000 7.748 8.441
Cu 0.000 3.444 2.814
S 1.879 0.704 9.677
S 3.891 8.845 10.416
As 4.382 4.051 6.222
As 3.132 7.141 5.032
As 0.625 7.141 5.032
As 5.636 10.340 10.581
Cu 3.757 7.748 8.441
S 3.891 2.347 4.788
Cu 3.757 3.444 2.814
Cl 1.879 6.274 8.675
As 4.382 7.141 0.595
As 6.889 4.051 6.222
```

Output
- ρ: 3.47 g/cm³
- Energy relative to the elements: -4.1 eV/f.u.

Entry 6:
MgHg2Bi4O12: relaxed, PBE.

extended XYZ file:
```
19
Lattice="-0.549 -0.342 5.315 -0.668 -5.210 -0.390 10.229 -1.384 0.967" Properties=species:S:1:pos:R:3 pbc="T T T"
Hg 4.653 -3.487 2.960
O 4.508 -1.817 4.708
O 9.835 -3.097 2.571
O 7.778 -5.296 1.527
Bi 3.231 -0.437 0.305
Bi 6.897 -0.933 0.652
O 1.145 -4.353 0.872
O 6.057 -4.917 4.041
Hg 10.171 -1.376 0.961
O 9.386 -5.220 4.285
O 6.558 -2.506 2.191
Mg 4.193 -0.775 3.080
O 3.000 -1.948 1.962
Bi 7.920 -3.930 3.268
O 2.498 -4.512 3.598
O 7.825 -2.531 4.988
Bi 1.061 -3.001 2.620
O 1.175 -1.676 4.387
O 4.397 -5.104 1.173
```

Output
- ρ: 8.26 g/cm³
- Energy relative to the elements: -24.5 eV/f.u.
- Distance to the lowest polymorph of the same formula: 0 meV per atom

Entry 7:
Lu2MgSe4: relaxed, PBE.

extended XYZ file:
```
28
Lattice="-6.805 -11.005 -5.151 7.063 -3.728 -1.366 -0.250 -2.736 6.176" Properties=species:S:1:pos:R:3 pbc="T T T"
Se 1.324 -9.799 -2.450
Se -1.060 -14.721 -1.345
Se -4.718 -13.163 -0.486
Se -1.231 -11.306 0.575
Lu 3.702 -5.382 -2.213
Se -1.321 -3.894 3.686
Se 1.067 -2.748 1.004
Lu -3.694 -12.087 1.873
Se 4.737 -8.010 -1.592
Mg -2.413 -9.039 0.181
Mg 0.904 -4.473 4.870
Se 1.329 -13.575 -4.026
Lu -0.168 -5.233 1.395
Lu -3.403 -5.502 -2.575
Lu 0.129 -7.366 -3.258
Lu -0.125 -1.368 3.088
Se 2.321 -9.462 1.780
Se -2.313 -8.007 -2.120
Lu 3.406 -3.232 2.405
Lu 0.176 -12.236 -1.736
Se -2.170 -11.728 -3.349
Se 1.238 -6.163 -0.915
Se 2.178 -5.741 3.009
Mg -0.897 -12.996 -5.210
Se -4.730 -9.459 1.252
Se 4.726 -4.306 0.145
Mg 2.420 -8.430 -0.521
Se -1.317 -7.670 2.110
```

Output
- ρ: 6.01 g/cm³
- Energy relative to the elements: -13.4 eV/f.u.
- Distance to the lowest polymorph of the same formula: 33 meV per atom

Entry 8:
CaSmPd2: relaxed, PBE.

extended XYZ file:
```
4
Lattice="2.757 -4.206 -0.196 -2.263 -4.495 0.020 -0.016 -2.827 -4.163" Properties=species:S:1:pos:R:3 pbc="T T T"
Sm 0.000 0.000 0.000
Pd 0.359 -8.647 -3.255
Pd 0.120 -2.882 -1.085
Ca 0.239 -5.764 -2.170
```

Output
- ρ: 7.43 g/cm³
- Energy relative to the elements: -3.0 eV/f.u.

Entry 9:
GdCuO3: relaxed, PBE.

extended XYZ file:
```
5
Lattice="3.799 0.000 0.000 0.000 3.799 0.000 0.000 0.000 3.799" Properties=species:S:1:pos:R:3 pbc="T T T"
Cu 1.899 1.899 1.899
O 0.000 1.899 1.899
O 1.899 1.899 0.000
O 1.899 0.000 1.899
Gd 0.000 0.000 0.000
```

Output
- ρ: 8.14 g/cm³
- Energy relative to the elements: -11.2 eV/f.u.

Entry 10:
Sm3Ga2: relaxed, PBE.

extended XYZ file:
```
40
Lattice="-5.934 5.934 7.639 5.934 -5.934 7.639 5.934 5.934 -7.639" Properties=species:S:1:pos:R:3 pbc="T T T"
Ga 0.000 0.000 3.819
Sm 3.530 6.735 5.560
Sm -0.800 2.405 5.560
Ga -2.115 3.819 3.075
Sm -0.800 9.464 2.078
Ga 3.819 -2.115 4.564
Sm 3.530 5.134 2.078
Sm 1.997 7.932 0.000
Sm -0.800 2.405 9.717
Ga 2.115 3.819 4.564
Sm 2.405 -0.800 2.078
Sm -3.530 5.134 5.560
Ga -1.375 4.560 7.639
Ga 2.115 8.050 3.075
Sm 3.937 -1.997 7.639
Ga 0.000 0.000 0.000
Ga 8.050 -2.115 3.075
Sm 5.934 0.000 5.373
Sm 5.134 3.530 5.560
Sm 6.735 -3.530 5.560
Sm 0.000 5.934 5.373
Sm 5.934 0.000 2.266
Ga 8.050 2.115 4.564
Ga 0.000 0.000 11.458
Ga 1.375 4.560 0.000
Ga -2.115 8.050 4.564
Ga 4.560 1.375 7.639
Sm 1.997 3.937 7.639
Sm 2.405 0.800 5.560
Sm 6.735 3.530 -2.078
Ga 0.000 0.000 7.639
Sm 3.530 5.134 -2.078
Ga 7.309 1.375 0.000
Sm 3.937 1.997 0.000
Sm 0.000 5.934 2.266
Sm 9.464 0.800 2.078
Sm 0.800 2.405 2.078
Ga 3.819 2.115 3.075
Sm 6.735 3.530 2.078
Sm 2.405 0.800 9.717
```

Output
- ρ: 7.29 g/cm³
- Energy relative to the elements: -2.5 eV/f.u.

Entry 11:
GePb2S4: relaxed, PBE.

extended XYZ file:
```
28
Lattice="-0.145 -4.531 -8.243 2.613 -6.816 3.700 -8.020 -6.448 3.686" Properties=species:S:1:pos:R:3 pbc="T T T"
S -4.363 -8.082 -4.783
S -6.481 -11.726 -3.904
Pb -1.241 -2.071 -0.724
Ge -3.423 -8.334 -2.782
S -1.189 -9.713 3.926
Pb -3.819 -12.565 -3.268
S 0.373 -4.997 -0.434
S -5.232 -13.992 3.849
S 0.929 -6.069 3.047
S -5.167 -8.689 -1.438
Pb -0.279 -11.825 -0.748
S -0.385 -9.105 0.581
S -3.146 -11.328 1.186
S -0.320 -3.803 -4.706
S -1.929 -9.988 -3.018
Pb -1.733 -5.230 2.412
S -1.205 -6.940 -5.963
Ge 0.569 -5.640 -5.590
S -4.347 -10.855 5.106
S -3.623 -7.807 2.161
S -2.406 -6.466 -2.043
Ge -6.122 -12.154 4.733
Ge -2.129 -9.461 1.925
Pb 0.250 -7.492 -1.748
S -5.925 -12.798 -0.422
Pb -4.311 -15.724 -0.132
Pb -5.803 -10.302 0.891
Pb -5.273 -5.970 -0.109
```

Output
- ρ: 5.32 g/cm³
- Energy relative to the elements: -5.3 eV/f.u.
- Distance to the lowest polymorph of the same formula: 0 meV per atom

Entry 12:
Sc2AgPt: relaxed, PBE.

extended XYZ file:
```
4
Lattice="0.000 3.361 3.361 3.361 0.000 3.361 3.361 3.361 0.000" Properties=species:S:1:pos:R:3 pbc="T T T"
Sc 1.681 1.681 1.681
Sc 5.042 5.042 5.042
Pt 0.000 0.000 0.000
Ag 3.361 3.361 3.361
```

Output
- ρ: 8.59 g/cm³
- Energy relative to the elements: -3.1 eV/f.u.

- Which of these has the highest ρ?
  Sc2AgPt